48
Lattice="0.000 6.532 0.000 0.769 0.000 9.870 9.258 0.000 0.440" Properties=species:S:1:pos:R:3 comment="PBE with a Hubbard U Li2MnCSO7, relaxed" density_g_cm3=2.5 ef_ev_per_atom=-2.1184 pbc="T T T"
S 6.002 4.899 6.371
S 4.026 1.633 3.939
S 5.616 4.898 1.437
S 4.412 1.632 8.874
O 4.213 4.898 0.953
O 6.357 6.095 0.953
O 4.598 4.900 5.890
O 1.824 4.899 2.631
O 5.578 4.899 2.934
O 4.449 1.633 7.377
O 3.286 2.831 4.423
O 2.210 4.898 7.565
O 9.350 4.898 8.817
O 5.966 4.898 7.868
O 3.285 0.436 4.423
O 8.538 1.633 5.471
O 3.671 2.829 9.358
O 8.153 1.632 0.537
O 6.742 3.702 5.886
O 7.819 1.632 2.745
O 5.814 1.632 9.357
O 1.488 4.899 4.839
O 8.964 4.899 3.882
O 6.741 6.097 5.887
O 1.875 4.898 9.774
O 1.063 1.633 6.428
O 8.203 1.633 7.680
O 5.429 1.633 4.421
O 0.679 1.633 1.492
O 3.671 0.434 9.357
O 4.062 1.633 2.442
O 6.357 3.700 0.955
Li 2.037 3.361 6.054
Li 8.374 0.095 9.191
Li 7.991 3.171 4.256
Li 2.037 6.437 6.055
Li 1.653 6.437 1.118
Li 8.375 3.171 9.192
Li 1.653 3.361 1.119
Li 7.990 0.096 4.257
Mn 3.646 4.898 3.879
Mn 4.033 4.896 8.813
Mn 5.996 1.633 1.499
Mn 6.380 1.632 6.431
C 9.055 1.633 6.672
C 0.972 4.899 3.639
C 8.671 1.633 1.736
C 1.358 4.898 8.574



52
Lattice="0.192 5.172 6.710 -0.192 -5.172 6.710 8.582 -5.105 0.000" Properties=species:S:1:pos:R:3 comment="PBE with a Hubbard U Na5LiNi2P2C2O14, relaxed" density_g_cm3=3.0 ef_ev_per_atom=-2.2357 pbc="T T T"
C 0.477 -1.468 11.741
C 8.168 -3.578 8.387
C 8.168 -3.578 1.677
C 0.476 -1.468 5.032
O 2.667 -1.055 9.616
O 7.162 -2.736 8.387
O 4.726 -2.170 11.741
O 3.798 0.734 5.032
O 7.918 -4.855 1.678
O 5.831 -4.095 6.279
O 7.918 -4.855 8.387
O 6.022 1.077 6.279
O 2.476 -6.227 7.158
O 7.971 -1.546 5.032
O 4.725 -2.170 5.033
O 5.831 -4.096 10.496
O 4.914 -0.692 8.387
O 0.602 -3.178 8.386
O 0.793 1.993 8.387
O 1.274 -2.501 5.032
O 2.667 -1.055 2.906
O 3.606 -4.437 5.032
O 4.722 -5.864 8.387
O 7.779 -6.718 5.032
O 3.822 -2.967 1.678
O 5.831 -4.094 3.786
O 1.466 2.670 5.032
O 6.971 -7.908 8.387
O 3.822 -2.967 8.387
O 1.030 -0.289 11.742
O 1.029 -0.289 5.032
O 2.668 -1.055 7.158
Na 6.148 -6.479 6.659
Na 2.200 -3.825 3.295
Na 6.340 -1.307 10.115
Na 2.391 1.347 6.769
Na 2.200 -3.826 6.769
Na 2.200 -3.825 10.004
Na 6.340 -1.308 3.405
Na 7.886 -3.936 11.742
Na 7.886 -3.935 5.032
Na 6.340 -1.307 6.659
Li 0.874 -1.165 1.677
Li 0.874 -1.165 8.387
P 4.970 -3.715 5.033
P 3.554 -1.430 1.677
P 4.970 -3.716 11.742
P 3.555 -1.429 8.387
Ni 2.970 -1.128 11.741
Ni 5.562 -4.014 8.389
Ni 5.561 -4.014 1.677
Ni 2.969 -1.128 5.033



52
Lattice="2.603 -2.538 -3.675 -1.622 -9.312 5.610 -8.531 0.920 -6.980" Properties=species:S:1:pos:R:3 comment="PBE with a Hubbard U Na5LiNi2P2C2O14, relaxed" density_g_cm3=3.0 ef_ev_per_atom=-2.2338 pbc="T T T"
O -3.099 -3.707 -3.405
O -0.917 -10.076 0.542
O -6.554 -0.979 -5.722
O -0.750 -6.980 0.130
O -0.698 -1.814 0.405
O -3.194 -9.065 1.156
O -0.689 -1.269 -1.794
O -6.394 -6.388 -5.836
O -1.155 -4.588 0.880
O -5.775 -6.010 -0.279
O -2.662 -9.617 -1.265
O -1.745 -5.289 -2.513
O -4.564 -7.222 -1.700
O -1.477 -6.563 2.515
O -3.099 -6.094 0.573
O 0.513 -3.026 -1.016
O -6.117 -4.501 -7.560
O -1.319 -2.191 -5.151
O -6.648 -3.950 -5.139
O -6.822 -9.485 -3.199
O -4.205 -1.866 -6.165
O -6.232 -8.785 0.194
O -1.753 -4.893 -4.733
O -6.829 -9.089 -5.419
O -5.766 -5.465 -2.479
O -4.371 -4.961 -5.754
O -8.175 -7.902 -4.091
O -4.931 -1.448 -3.779
P -5.890 -4.939 -6.096
P -1.616 -6.067 1.054
P -2.437 -10.055 0.198
P -5.069 -0.952 -5.240
Li -5.556 -3.375 -3.354
Li -2.102 -8.491 2.941
Na -2.180 -7.435 -1.741
Na -4.786 -9.607 -2.086
Na 0.499 -2.537 -3.505
Na -2.957 -4.157 -0.822
Na -4.577 -6.733 -4.190
Na -5.634 -2.319 -8.036
Na 0.291 -5.410 -1.401
Na -8.034 -8.353 -1.507
Na -2.759 -1.337 -2.966
Na -7.836 -5.534 -3.651
Ni -4.552 -7.588 0.540
Ni 0.465 -8.512 0.713
Ni -8.006 -2.474 -5.753
Ni -2.989 -3.398 -5.580
C -7.270 -8.831 -4.219
C -0.298 -2.023 -0.820
C -5.375 -6.218 -1.505
C -2.194 -4.636 -3.533